one | Below is crystalline Na5Ni2P2C2O14 at its relaxed geometry, with properties calculated at the PBE+U level.

Symmetry = P1 (1)
Theoretical density = 2.93 g/cm³

abc: 6.6390 8.8865 10.4353
angles: 88.50 89.91 89.79
Last column: nearest neighbours and their distance in Å.
Sites, in units of the cell vectors:
Na1 0.0105 0.7336 0.8792  5 O 2.30-2.51
Na2 0.4885 0.7294 0.3647  5 O 2.33-2.55
Na3 0.0098 0.7298 0.3662  5 O 2.34-2.57
Na4 0.5070 0.2646 0.1301  5 O 2.32-2.54
Na5 0.9962 0.2626 0.1272  5 O 2.31-2.49
Na6 0.7397 0.0874 0.3950  4 O 2.34-2.47
Na7 0.4892 0.7327 0.8810  5 O 2.32-2.51
Na8 0.7402 0.0859 0.8847  4 O 2.35-2.46
Na9 0.2594 0.9194 0.6107  4 O 2.30-2.47
Na10 0.9760 0.2779 0.6253  5 O 2.30-2.46
O1 0.2425 0.1229 0.4703  1 C 1.30
O2 0.2508 0.5458 0.7889  1 P 1.57
O3 0.7512 0.0778 0.1586  1 C 1.28
O4 0.0646 0.6833 0.6075  1 P 1.57
O5 0.7527 0.5707 0.9328  1 P 1.55
O6 0.7588 0.4559 0.2082  1 P 1.57
O7 0.7565 0.4602 0.7152  1 P 1.55
O8 0.2429 0.4322 0.5685  1 P 1.53
O9 0.2502 0.4280 0.0690  1 P 1.55
O10 0.2495 0.9237 0.8408  1 C 1.28
O11 0.0633 0.6760 0.1045  1 P 1.55
O12 0.7493 0.8400 0.2403  1 C 1.31
O13 0.2554 0.1275 0.9682  1 C 1.30
O14 0.2494 0.5445 0.2887  1 P 1.56
O15 0.5621 0.3193 0.3808  1 P 1.55
O16 0.2488 0.9213 0.3462  1 C 1.27
O17 0.2403 0.1610 0.7599  1 C 1.30
O18 0.4357 0.6796 0.6045  1 P 1.56
O19 0.7492 0.8779 0.0290  1 C 1.30
O20 0.9355 0.3184 0.3930  1 P 1.56
O21 0.7705 0.0734 0.6582  1 C 1.27
O22 0.5657 0.3229 0.8986  1 P 1.55
O23 0.7470 0.8374 0.7423  1 C 1.31
O24 0.7480 0.8738 0.5302  1 C 1.31
O25 0.2505 0.1586 0.2605  1 C 1.30
O26 0.4380 0.6741 0.1048  1 P 1.55
O27 0.7480 0.5675 0.4290  1 P 1.54
O28 0.9371 0.3196 0.8957  1 P 1.56
Ni1 0.2545 0.3468 0.8860  6 O 2.02-2.14
Ni2 0.7477 0.6521 0.6106  6 O 2.00-2.17
Ni3 0.2544 0.3458 0.3941  6 O 2.00-2.20
Ni4 0.7514 0.6541 0.1106  6 O 2.01-2.16
P1 0.7513 0.4205 0.8607  4 O 1.55-1.56
P2 0.7505 0.4185 0.3560  4 O 1.54-1.57
P3 0.2501 0.5784 0.1409  4 O 1.55-1.56
P4 0.2501 0.5799 0.6402  4 O 1.53-1.57
C1 0.2477 0.0662 0.8565  3 O 1.28-1.30
C2 0.2467 0.0637 0.3575  3 O 1.27-1.30
C3 0.7557 0.9325 0.6442  3 O 1.27-1.31
C4 0.7500 0.9352 0.1425  3 O 1.28-1.31

***

two | Below is crystalline Na5Ni2P2C2O14 at its relaxed geometry, with properties calculated at the PBE+U level.

Symmetry = P1 (1)
Theoretical density = 2.93 g/cm³

abc: 8.3801 8.3939 8.9585
angles: 90.88 91.30 103.01
Last column: nearest neighbours and their distance in Å.
Sites, in units of the cell vectors:
P1 0.7681 0.5151 0.4227  4 O 1.52-1.57
P2 0.2660 0.0174 0.4235  4 O 1.54-1.57
P3 0.2336 0.4837 0.5773  4 O 1.54-1.56
P4 0.7302 0.9796 0.5814  4 O 1.54-1.57
O1 0.5909 0.3476 0.8704  1 C 1.31
O2 0.9151 0.6641 0.4593  1 P 1.57
O3 0.6185 0.8674 0.1563  1 C 1.31
O4 0.8011 0.0546 0.4342  1 P 1.54
O5 0.1190 0.3722 0.1606  1 C 1.31
O6 0.3807 0.1361 0.8416  1 C 1.30
O7 0.6627 0.0993 0.6826  1 P 1.55
O8 0.0899 0.3351 0.5398  1 P 1.55
O9 0.0323 0.2704 0.9302  1 C 1.27
O10 0.8290 0.3894 0.3211  1 P 1.56
O11 0.9685 0.7190 0.0738  1 C 1.28
O12 0.4147 0.1649 0.4583  1 P 1.57
O13 0.9063 0.1591 0.1353  1 C 1.32
O14 0.1780 0.6148 0.6756  1 P 1.56
O15 0.5874 0.8278 0.5439  1 P 1.57
O16 0.1370 0.0780 0.3255  1 P 1.55
O17 0.4065 0.6547 0.1216  1 C 1.31
O18 0.8775 0.6321 0.8415  1 C 1.30
O19 0.0936 0.8365 0.8680  1 C 1.30
O20 0.4766 0.2273 0.0750  1 C 1.28
O21 0.6440 0.5756 0.3167  1 P 1.57
O22 0.3607 0.4259 0.6809  1 P 1.56
O23 0.8621 0.9245 0.6818  1 P 1.56
O24 0.5347 0.7801 0.9213  1 C 1.29
O25 0.1926 0.9460 0.5713  1 P 1.54
O26 0.3253 0.8884 0.3266  1 P 1.55
O27 0.6910 0.4425 0.5661  1 P 1.52
O28 0.3079 0.5542 0.4295  1 P 1.54
Na1 0.6221 0.6261 0.7306  5 O 2.29-2.47
Na2 0.2503 0.5130 0.9155  5 O 2.38-2.65
Na3 0.7430 0.4817 0.0765  5 O 2.34-2.62
Na4 0.8863 0.8762 0.2650  5 O 2.35-2.55
Na5 0.7673 0.0272 0.9160  5 O 2.39-2.66
Na6 0.6070 0.1197 0.2691  4 O 2.33-2.45
Na7 0.1280 0.6410 0.2642  5 O 2.33-2.56
Na8 0.1125 0.1375 0.7307  5 O 2.28-2.46
Na9 0.3743 0.3601 0.2681  5 O 2.33-2.58
Na10 0.3810 0.8760 0.7372  5 O 2.32-2.57
C1 0.5194 0.7683 0.0635  3 O 1.29-1.31
C2 0.4798 0.2348 0.9327  3 O 1.28-1.31
C3 0.9793 0.7294 0.9314  3 O 1.28-1.30
C4 0.0215 0.2673 0.0715  3 O 1.27-1.32
Ni1 0.9855 0.2379 0.3500  5 O 1.97-2.08
Ni2 0.5188 0.2648 0.6548  6 O 2.01-2.21
Ni3 0.4886 0.7345 0.3442  6 O 2.02-2.20
Ni4 0.0118 0.7589 0.6549  6 O 1.99-2.19

***

three | Below is crystalline Na5Ni2P2C2O14 at its relaxed geometry, with properties calculated at the PBE+U level.

Symmetry = P2_1/m (11)
Theoretical density = 2.91 g/cm³

abc: 6.6273 10.2507 10.4406
angles: 60.86 90.00 90.00
Last column: nearest neighbours and their distance in Å.
Sites, in units of the cell vectors:
Ni1 0.2500 0.3530 0.1824  6 O 2.02-2.20
Ni2 0.7500 0.6470 0.8176  6 O 2.02-2.20
Ni3 0.2500 0.3495 0.6852  6 O 2.02-2.21
Ni4 0.7500 0.6505 0.3148  6 O 2.02-2.21
Na1 0.4945 0.7450 0.5103  5 O 2.32-2.58
Na2 0.7500 0.0840 0.8147  5 O 2.39-2.55
Na3 0.0138 0.7387 0.9960  6 O 2.33-2.55
Na4 0.5138 0.2613 0.0040  6 O 2.33-2.55
Na5 0.4862 0.7387 0.9960  6 O 2.33-2.55
Na6 0.9945 0.2550 0.4897  5 O 2.32-2.58
Na7 0.5055 0.2550 0.4897  5 O 2.32-2.58
Na8 0.0055 0.7450 0.5103  5 O 2.32-2.58
Na9 0.2500 0.9160 0.1853  5 O 2.39-2.55
Na10 0.9862 0.2613 0.0040  6 O 2.33-2.55
O1 0.7500 0.8399 0.5945  1 C 1.29
O2 0.7500 0.4518 0.3177  1 P 1.57
O3 0.7500 0.0699 0.5775  1 C 1.27
O4 0.7500 0.8369 0.0862  1 C 1.31
O5 0.2500 0.1385 0.2053  1 C 1.31
O6 0.7500 0.8718 0.2794  1 C 1.30
O7 0.2500 0.1282 0.7206  1 C 1.30
O8 0.4384 0.6734 0.8060  1 P 1.55
O9 0.2500 0.1631 0.9138  1 C 1.31
O10 0.2500 0.1601 0.4055  1 C 1.29
O11 0.0636 0.6788 0.3043  1 P 1.56
O12 0.5636 0.3212 0.6957  1 P 1.56
O13 0.2500 0.5492 0.1839  1 P 1.57
O14 0.9384 0.3266 0.1940  1 P 1.55
O15 0.5616 0.3266 0.1940  1 P 1.55
O16 0.2500 0.4278 0.9610  1 P 1.55
O17 0.2500 0.9301 0.4225  1 C 1.27
O18 0.2500 0.5482 0.6823  1 P 1.57
O19 0.7500 0.8615 0.7947  1 C 1.31
O20 0.2500 0.9280 0.9494  1 C 1.28
O21 0.4364 0.6788 0.3043  1 P 1.56
O22 0.2500 0.4282 0.4612  1 P 1.55
O23 0.0616 0.6734 0.8060  1 P 1.55
O24 0.7500 0.0720 0.0506  1 C 1.28
O25 0.7500 0.5722 0.0390  1 P 1.55
O26 0.7500 0.4508 0.8162  1 P 1.57
O27 0.9364 0.3212 0.6957  1 P 1.56
O28 0.7500 0.5718 0.5388  1 P 1.55
C1 0.2500 0.0693 0.8623  3 O 1.28-1.31
C2 0.7500 0.9307 0.1377  3 O 1.28-1.31
C3 0.2500 0.0720 0.3493  3 O 1.27-1.31
C4 0.7500 0.9280 0.6507  3 O 1.27-1.31
P1 0.2500 0.5798 0.3176  4 O 1.55-1.57
P2 0.7500 0.4202 0.6824  4 O 1.55-1.57
P3 0.2500 0.5786 0.8159  4 O 1.55-1.57
P4 0.7500 0.4214 0.1841  4 O 1.55-1.57

***

Of them, three has the highest stability.

***

one | Below is crystalline Na5Ni2P2C2O14 at its relaxed geometry, with properties calculated at the PBE+U level.

Symmetry = P2_1/m (11)
Theoretical density = 2.92 g/cm³

abc: 6.6350 8.9379 10.3980
angles: 88.81 90.00 90.00
Last column: nearest neighbours and their distance in Å.
Sites, in units of the cell vectors:
O1 0.0636 0.3192 0.1428  1 P 1.56
O2 0.5636 0.6808 0.8572  1 P 1.56
O3 0.7500 0.1407 0.7274  1 C 1.32
O4 0.2500 0.8593 0.2726  1 C 1.32
O5 0.2500 0.8742 0.7830  1 C 1.29
O6 0.4383 0.3299 0.6442  1 P 1.55
O7 0.2500 0.8371 0.9939  1 C 1.31
O8 0.4364 0.3192 0.1428  1 P 1.56
O9 0.2500 0.0731 0.9148  1 C 1.28
O10 0.2500 0.5674 0.1758  1 P 1.54
O11 0.2500 0.5765 0.6744  1 P 1.55
O12 0.7500 0.9269 0.0852  1 C 1.28
O13 0.0617 0.3299 0.6442  1 P 1.55
O14 0.9364 0.6808 0.8572  1 P 1.56
O15 0.7500 0.4235 0.3256  1 P 1.55
O16 0.5617 0.6701 0.3558  1 P 1.55
O17 0.7500 0.1629 0.0061  1 C 1.31
O18 0.2500 0.8389 0.4840  1 C 1.29
O19 0.7500 0.9307 0.6137  1 C 1.27
O20 0.7500 0.4326 0.8242  1 P 1.54
O21 0.2500 0.0693 0.3863  1 C 1.27
O22 0.9383 0.6701 0.3558  1 P 1.55
O23 0.7500 0.1258 0.2170  1 C 1.29
O24 0.7500 0.5509 0.0430  1 P 1.57
O25 0.2500 0.4491 0.9570  1 P 1.57
O26 0.7500 0.1611 0.5160  1 C 1.29
O27 0.7500 0.5493 0.5427  1 P 1.57
O28 0.2500 0.4507 0.4573  1 P 1.57
Ni1 0.2500 0.6511 0.8598  6 O 2.05-2.19
Ni2 0.7500 0.3489 0.1402  6 O 2.05-2.19
Ni3 0.2500 0.6451 0.3581  6 O 2.00-2.19
Ni4 0.7500 0.3549 0.6419  6 O 2.00-2.19
P1 0.7500 0.5830 0.8943  4 O 1.54-1.57
P2 0.2500 0.4232 0.6071  4 O 1.55-1.57
P3 0.7500 0.5768 0.3929  4 O 1.55-1.57
P4 0.2500 0.4170 0.1057  4 O 1.54-1.57
C1 0.7500 0.0681 0.1041  3 O 1.28-1.31
C2 0.2500 0.9270 0.3837  3 O 1.27-1.32
C3 0.7500 0.0730 0.6163  3 O 1.27-1.32
C4 0.2500 0.9319 0.8959  3 O 1.28-1.31
Na1 0.0062 0.2566 0.3832  5 O 2.33-2.58
Na2 0.4938 0.2566 0.3832  5 O 2.33-2.58
Na3 0.4869 0.2648 0.8669  6 O 2.34-2.54
Na4 0.5131 0.7352 0.1331  6 O 2.34-2.54
Na5 0.5062 0.7434 0.6168  5 O 2.33-2.58
Na6 0.2500 0.0864 0.1439  5 O 2.39-2.52
Na7 0.0131 0.2648 0.8669  6 O 2.34-2.54
Na8 0.9869 0.7352 0.1331  6 O 2.34-2.54
Na9 0.7500 0.9136 0.8561  5 O 2.39-2.52
Na10 0.9938 0.7434 0.6168  5 O 2.33-2.58

***

two | Below is crystalline Na5Ni2P2C2O14 at its relaxed geometry, with properties calculated at the PBE+U level.

Symmetry = P1 (1)
Theoretical density = 2.94 g/cm³

abc: 6.5678 10.2065 10.4390
angles: 119.00 90.00 90.29
Last column: nearest neighbours and their distance in Å.
Sites, in units of the cell vectors:
O1 0.0635 0.3244 0.5527  1 P 1.56
O2 0.7510 0.9230 0.3082  1 C 1.28
O3 0.7570 0.5433 0.0631  1 P 1.57
O4 0.7493 0.1268 0.5321  1 C 1.31
O5 0.2507 0.4609 0.4408  1 P 1.57
O6 0.5649 0.6782 0.4420  1 P 1.56
O7 0.2495 0.4544 0.9389  1 P 1.57
O8 0.7485 0.4338 0.7873  1 P 1.54
O9 0.2502 0.8415 0.1605  1 C 1.30
O10 0.2426 0.8387 0.6635  1 C 1.29
O11 0.7481 0.1233 0.0300  1 C 1.31
O12 0.0637 0.3163 0.0539  1 P 1.56
O13 0.2489 0.0729 0.6940  1 C 1.28
O14 0.2490 0.0781 0.1933  1 C 1.28
O15 0.5617 0.6817 0.9591  1 P 1.55
O16 0.9372 0.6818 0.4462  1 P 1.57
O17 0.7489 0.1560 0.3342  1 C 1.30
O18 0.4391 0.3267 0.5550  1 P 1.55
O19 0.2554 0.8684 0.4691  1 C 1.30
O20 0.2426 0.8792 0.9689  1 C 1.30
O21 0.7565 0.5403 0.5569  1 P 1.55
O22 0.2494 0.5671 0.2155  1 P 1.54
O23 0.2470 0.5723 0.7178  1 P 1.53
O24 0.4359 0.3185 0.0551  1 P 1.56
O25 0.9375 0.6820 0.9478  1 P 1.56
O26 0.7514 0.4297 0.2838  1 P 1.55
O27 0.7479 0.1610 0.8364  1 C 1.31
O28 0.7680 0.9259 0.8038  1 C 1.27
Na1 0.9961 0.7363 0.2407  5 O 2.33-2.49
Na2 0.4880 0.2690 0.2688  5 O 2.32-2.54
Na3 0.9752 0.7248 0.7384  5 O 2.28-2.44
Na4 0.0115 0.2672 0.7528  5 O 2.33-2.50
Na5 0.5062 0.7347 0.2375  5 O 2.33-2.54
Na6 0.4864 0.2671 0.7526  5 O 2.32-2.51
Na7 0.0118 0.2686 0.2683  5 O 2.32-2.53
Na8 0.7407 0.9169 0.5726  4 O 2.38-2.48
Na9 0.7402 0.9132 0.0628  4 O 2.33-2.52
Na10 0.2585 0.0788 0.9274  4 O 2.28-2.49
Ni1 0.2538 0.6547 0.4419  6 O 1.97-2.16
Ni2 0.7504 0.3449 0.0622  6 O 2.02-2.19
Ni3 0.7504 0.3478 0.5621  5 O 1.99-2.12
Ni4 0.2529 0.6552 0.9345  6 O 1.99-2.20
P1 0.7508 0.5785 0.4300  4 O 1.55-1.57
P2 0.2495 0.4192 0.0691  4 O 1.54-1.57
P3 0.2519 0.4261 0.5718  4 O 1.53-1.57
P4 0.7504 0.5813 0.9344  4 O 1.54-1.57
C1 0.2467 0.9362 0.1105  3 O 1.28-1.30
C2 0.2482 0.9305 0.6112  3 O 1.28-1.30
C3 0.7498 0.0659 0.3896  3 O 1.28-1.31
C4 0.7552 0.0663 0.8875  3 O 1.27-1.31

***

three | Below is crystalline Na5Ni2P2C2O14 at its relaxed geometry, with properties calculated at the PBE+U level.

Symmetry = P1 (1)
Theoretical density = 2.92 g/cm³

abc: 8.8820 5.2509 13.2259
angles: 90.03 90.13 88.08
Last column: nearest neighbours and their distance in Å.
Sites, in units of the cell vectors:
P1 0.5819 0.2811 0.8752  4 O 1.54-1.57
P2 0.4223 0.7195 0.6246  4 O 1.55-1.57
P3 0.5779 0.2827 0.3751  4 O 1.54-1.57
P4 0.4213 0.7210 0.1260  4 O 1.53-1.57
Na1 0.7281 0.7473 0.4875  5 O 2.27-2.49
Na2 0.2743 0.2579 0.0048  5 O 2.30-2.51
Na3 0.9106 0.2181 0.3676  4 O 2.36-2.45
Na4 0.7323 0.7455 0.7544  5 O 2.31-2.49
Na5 0.7290 0.7437 0.0003  5 O 2.27-2.51
Na6 0.9172 0.2239 0.8751  4 O 2.32-2.44
Na7 0.2659 0.2538 0.7437  5 O 2.33-2.52
Na8 0.2753 0.2570 0.2443  5 O 2.29-2.49
Na9 0.2659 0.2531 0.5068  5 O 2.34-2.51
Na10 0.0794 0.7721 0.1293  4 O 2.28-2.47
O1 0.5725 0.8614 0.6235  1 P 1.55
O2 0.1569 0.5151 0.8742  1 C 1.30
O3 0.9264 0.6826 0.3811  1 C 1.26
O4 0.4597 0.4249 0.6253  1 P 1.57
O5 0.8830 0.0630 0.1230  1 C 1.30
O6 0.1206 0.9363 0.8760  1 C 1.30
O7 0.1267 0.9335 0.3739  1 C 1.31
O8 0.3188 0.7902 0.2187  1 P 1.57
O9 0.4563 0.4275 0.1253  1 P 1.56
O10 0.3242 0.7883 0.5306  1 P 1.55
O11 0.8699 0.0667 0.6248  1 C 1.30
O12 0.8457 0.4824 0.1213  1 C 1.30
O13 0.6807 0.2149 0.4674  1 P 1.56
O14 0.3168 0.7878 0.0333  1 P 1.57
O15 0.5348 0.5740 0.3791  1 P 1.57
O16 0.5466 0.5752 0.8750  1 P 1.57
O17 0.4303 0.1362 0.3757  1 P 1.54
O18 0.6820 0.2098 0.7820  1 P 1.56
O19 0.0836 0.3162 0.1245  1 C 1.29
O20 0.8331 0.4799 0.6245  1 C 1.31
O21 0.1633 0.5136 0.3748  1 C 1.31
O22 0.6771 0.2260 0.2819  1 P 1.54
O23 0.9193 0.6844 0.8760  1 C 1.29
O24 0.4319 0.1405 0.8743  1 P 1.54
O25 0.3256 0.7908 0.7180  1 P 1.55
O26 0.5661 0.8696 0.1239  1 P 1.53
O27 0.0717 0.3142 0.6250  1 C 1.26
O28 0.6816 0.2100 0.9685  1 P 1.56
C1 0.0673 0.7081 0.3776  3 O 1.26-1.31
C2 0.9397 0.2883 0.1224  3 O 1.29-1.30
C3 0.0629 0.7116 0.8748  3 O 1.29-1.30
C4 0.9311 0.2887 0.6247  3 O 1.26-1.31
Ni1 0.3451 0.7779 0.8753  6 O 2.05-2.20
Ni2 0.3441 0.7755 0.3749  6 O 1.97-2.15
Ni3 0.6577 0.2197 0.1295  6 O 2.02-2.20
Ni4 0.6555 0.2227 0.6243  6 O 2.01-2.11

***

Of them, one has the highest stability.